Entry 1:
Entry from the Materials Project: BaMgNi4O8 after structural relaxation (PBE+U).

Cell: 10.2914 5.9403 6.5832 Å, 90.00 121.45 90.00°
Closest atoms and distances in Å follow each position.
Space group Cm (No. 8)
Inequivalent atoms, fractional coordinates:
1 Ba 0.0000 0.0000 0.0000  6 O 2.55-2.57
2 Mg 0.1465 0.5000 0.9390  4 O 2.04-2.07
3 Ni 0.2477 0.2491 0.4946  6 O 1.94-2.12
4 Ni 0.4951 0.0000 0.4860  6 O 1.85-1.92
5 Ni 0.4986 0.5000 0.4944  6 O 1.93-2.12
6 O 0.0148 0.2687 0.3147  3 Ni 1.85-2.05
7 O 0.2126 0.5000 0.6907  3 Ni 1.92-2.12, 1 Mg 2.07
8 O 0.2185 0.0000 0.6576  3 Ni 1.93-1.94
9 O 0.2678 0.5000 0.3028  3 Ni 2.03, 1 Mg 2.04
10 O 0.2840 0.0000 0.3149  3 Ni 1.85-2.05
11 O 0.4891 0.2237 0.6910  3 Ni 1.92-2.12, 1 Mg 2.07

Energy relative to the lowest polymorph listed for this composition in eV/atom: 0.0000
E_form in meV per atom: -1381
Calculated volume in A^3/atom: 12.26


Entry 2:
Entry from the Materials Project: Ba2Mg3Tl2Ni4O12 after structural relaxation (PBE+U).

Cell: 3.7351 3.7351 41.8730 Å, 90.00 90.00 90.00°
Closest atoms and distances in Å follow each position.
Space group I4/mmm (No. 139)
Inequivalent atoms, fractional coordinates:
1 Ba 0.0000 0.0000 0.1524  8 O 2.77-2.81
2 Mg 0.0000 0.0000 0.0000  8 O 2.34
3 Mg 0.0000 0.0000 0.0718  8 O 2.26-2.46
4 Tl 0.0000 0.0000 0.2781  2 O 2.06-2.14
5 Ni 0.0000 0.0000 0.3968  4 O 1.87
6 Ni 0.0000 0.0000 0.4647  4 O 1.87
7 O 0.0000 0.0000 0.2270  1 Tl 2.14
8 O 0.0000 0.0000 0.3274  1 Tl 2.06
9 O 0.0000 0.5000 0.0337  2 Ni 1.87
10 O 0.0000 0.5000 0.1022  2 Ni 1.87

E_form in meV per atom: -1634
Calculated volume in A^3/atom: 12.70


Entry 3:
Entry from the Materials Project: BaSrMgWO6 after structural relaxation (PBE+U).

Cell: 8.1360 8.1360 8.1360 Å, 90.00 90.00 90.00°
Closest atoms and distances in Å follow each position.
Space group F-43m (No. 216)
Inequivalent atoms, fractional coordinates:
1 Ba 0.0000 0.0000 0.0000  12 O 2.88
2 Sr 0.0000 0.0000 0.5000  12 O 2.88
3 Mg 0.2500 0.2500 0.2500  6 O 2.11
4 W 0.2500 0.2500 0.7500  6 O 1.96
5 O 0.0092 0.2500 0.7500  1 W 1.96, 1 Mg 2.11

E_form in meV per atom: -2961
Calculated volume in A^3/atom: 13.46


Entry 4:
Entry from the Materials Project: Ba2SrMgWO6 after structural relaxation (PBE+U).

Cell: 10.5363 6.0113 7.1099 Å, 90.00 125.73 90.00°
Closest atoms and distances in Å follow each position.
Space group Cm (No. 8)
Inequivalent atoms, fractional coordinates:
1 Ba 0.0000 0.0000 0.0000  3 O 2.48-2.71
2 Ba 0.0434 0.5000 0.6720  7 O 2.72-3.03
3 Sr 0.3705 0.0000 0.0457  4 O 2.33-2.50
4 Mg 0.1411 0.0000 0.5193  5 O 1.98-2.21
5 W 0.3323 0.5000 0.4217  5 O 2.01-2.18
6 O 0.0828 0.0000 0.7380  1 Mg 1.98
7 O 0.1203 0.5000 0.1176  1 W 2.01
8 O 0.2976 0.2562 0.6154  1 Mg 2.06, 1 W 2.18
9 O 0.4331 0.2837 0.3091  1 W 2.11, 1 Mg 2.21, 1 Sr 2.33

Energy relative to the lowest polymorph listed for this composition in eV/atom: 0.0212
E_form in meV per atom: -2593
Calculated volume in A^3/atom: 16.62


Entry 5:
Entry from the Materials Project: Ba2SrMgWO6 after structural relaxation (PBE+U).

Cell: 11.5791 6.2482 5.6296 Å, 90.00 110.64 90.00°
Closest atoms and distances in Å follow each position.
Space group C2/m (No. 12)
Inequivalent atoms, fractional coordinates:
1 Ba 0.2161 0.0000 0.1744  5 O 2.63-2.73
2 Sr 0.0000 0.0000 0.5000  4 O 2.41
3 Mg 0.0000 0.5000 0.5000  6 O 2.16-2.20
4 W 0.0000 0.5000 0.0000  6 O 2.07-2.15
5 O 0.0796 0.2785 0.8099  1 W 2.15, 1 Mg 2.16
6 O 0.1475 0.5000 0.3395  1 W 2.07, 1 Mg 2.20

Energy relative to the lowest polymorph listed for this composition in eV/atom: 0.0000
E_form in meV per atom: -2614
Calculated volume in A^3/atom: 17.32


Entry 6:
Entry from the Materials Project: Ba2Mg3Tl2W4O12 after structural relaxation (PBE+U).

Cell: 3.9816 3.9816 44.1055 Å, 90.00 90.00 90.00°
Closest atoms and distances in Å follow each position.
Space group I4/mmm (No. 139)
Inequivalent atoms, fractional coordinates:
1 Ba 0.0000 0.0000 0.1649  1 O 2.47
2 Mg 0.0000 0.0000 0.0000  8 O 2.43
3 Mg 0.0000 0.0000 0.0810  4 O 2.29
4 Tl 0.0000 0.0000 0.2750  1 O 2.38
5 W 0.0000 0.0000 0.3972  5 O 2.00-2.05
6 W 0.0000 0.0000 0.4556  4 O 2.07
7 O 0.0000 0.0000 0.2210  1 Tl 2.38, 1 Ba 2.47
8 O 0.0000 0.0000 0.3507  1 W 2.05
9 O 0.0000 0.5000 0.0317  2 W 2.07
10 O 0.0000 0.5000 0.1068  2 W 2.00

E_form in meV per atom: -1628
Calculated volume in A^3/atom: 15.20


Entry 7:
Entry from the Materials Project: Ba2Mg2Tl2W3O10 after structural relaxation (PBE+U).

Cell: 3.9906 4.1531 19.4251 Å, 84.32 84.39 89.94°
Closest atoms and distances in Å follow each position.
Space group P1 (No. 1)
Inequivalent atoms, fractional coordinates:
1 Ba 0.0000 0.0000 0.0000  1 O 2.39
2 Ba 0.3051 0.3250 0.3627  1 O 2.39
3 Mg 0.0948 0.0701 0.7765  6 O 2.21-2.31
4 Mg 0.1542 0.1917 0.5848  5 O 2.17-2.26
5 Tl 0.4347 0.3974 0.1235  2 O 2.32-2.59
6 Tl 0.8752 0.8413 0.2393  2 O 2.32-2.59
7 W 0.5672 0.5461 0.8489  5 O 1.95-2.13
8 W 0.6979 0.7343 0.5144  5 O 1.94-2.12
9 W 0.7339 0.7028 0.6814  4 O 1.98-2.21
10 O 0.0800 0.5396 0.8255  2 W 2.04-2.05, 1 Mg 2.25
11 O 0.1895 0.7131 0.5385  2 W 2.04-2.06, 2 Mg 2.26
12 O 0.2473 0.7963 0.6855  2 W 1.98-2.10
13 O 0.3751 0.2401 0.2423  3 Tl 2.32-2.60, 1 Ba 2.39
14 O 0.5252 0.5446 0.9495  1 W 1.95
15 O 0.5665 0.0589 0.8273  2 W 2.11-2.13, 2 Mg 2.21-2.24
16 O 0.6714 0.2264 0.5348  2 W 2.11-2.12, 2 Mg 2.19-2.24
17 O 0.7556 0.8134 0.4137  1 W 1.94
18 O 0.8302 0.2281 0.6798  2 W 2.01-2.21, 1 Mg 2.17
19 O 0.9295 0.8017 0.1203  2 Tl 2.32-2.59, 1 Ba 2.39

E_form in meV per atom: -1836
Calculated volume in A^3/atom: 16.78


Entry 8:
Entry from the Materials Project: BaMgVO3 after structural relaxation (PBE+U).

Cell: 5.6988 5.6694 5.6675 Å, 90.00 112.27 90.00°
Closest atoms and distances in Å follow each position.
Space group Cm (No. 8)
Inequivalent atoms, fractional coordinates:
1 Ba 0.0000 0.0000 0.0000  3 O 2.67-2.84
2 Mg 0.3115 0.0000 0.6071  5 O 1.97-2.13
3 V 0.2053 0.5000 0.3745  5 O 2.07-2.13
4 O 0.0017 0.2407 0.4904  2 V 2.07-2.13, 2 Mg 2.08-2.13
5 O 0.4624 0.0000 0.9828  1 Mg 1.97, 1 V 2.13

Energy relative to the lowest polymorph listed for this composition in eV/atom: 0.0000
E_form in meV per atom: -2469
Calculated volume in A^3/atom: 14.12


Entry 9:
Entry from the Materials Project: BaMg6VO8 after structural relaxation (PBE+U).

Cell: 4.6429 4.6429 9.0066 Å, 90.00 90.00 90.00°
Closest atoms and distances in Å follow each position.
Space group P4/mmm (No. 123)
Inequivalent atoms, fractional coordinates:
1 Ba 0.0000 0.0000 0.0000  6 O 2.32-2.48
2 Mg 0.0000 0.5000 0.2653  5 O 2.11-2.32
3 Mg 0.5000 0.5000 0.0000  6 O 2.30-2.32
4 Mg 0.5000 0.5000 0.5000  6 O 2.20-2.32
5 V 0.0000 0.0000 0.5000  2 O 2.02
6 O 0.0000 0.0000 0.2753  1 V 2.02
7 O 0.0000 0.5000 0.0000  2 Ba 2.32, 4 Mg 2.32-2.39
8 O 0.0000 0.5000 0.5000  4 Mg 2.11-2.32, 2 V 2.32
9 O 0.5000 0.5000 0.2553  6 Mg 2.20-2.32

Energy relative to the lowest polymorph listed for this composition in eV/atom: 0.0368
E_form in meV per atom: -2511
Calculated volume in A^3/atom: 12.13


Entry 10:
Entry from the Materials Project: Ba3MgV2O8 after structural relaxation (PBE+U).

Cell: 5.9128 5.9128 22.7372 Å, 90.00 90.00 120.00°
Closest atoms and distances in Å follow each position.
Space group R-3m (No. 166, hexagonal axes)
Inequivalent atoms, fractional coordinates:
1 Ba 0.0000 0.0000 0.0000  6 O 2.98
2 Ba 0.0000 0.0000 0.2040  1 O 2.55
3 Mg 0.0000 0.0000 0.5000  6 O 2.14
4 V 0.0000 0.0000 0.3933  4 O 1.75-1.86
5 O 0.0000 0.0000 0.3161  1 V 1.75
6 O 0.0255 0.5128 0.2301  1 V 1.86

Energy relative to the lowest polymorph listed for this composition in eV/atom: 0.0422
E_form in meV per atom: -2755
Calculated volume in A^3/atom: 16.39